Run i
## Mg14CdMo (PBE)

Data for a relaxed structure of Mg14CdMo.

Geometry as extended XYZ:
```
16
Lattice="6.304 0.000 0.000 -3.152 5.460 0.000 0.000 0.000 9.962" Properties=species:S:1:pos:R:3 pbc="T T T"
Mg 0.000 0.000 2.481
Mg 0.000 0.000 7.481
Mg -1.515 2.765 2.419
Mg -1.515 2.765 7.543
Mg 1.581 0.913 0.000
Mg 1.577 0.911 4.981
Mg 1.515 2.765 2.419
Mg 1.515 2.765 7.543
Mg 0.000 5.389 2.419
Mg 0.000 5.389 7.543
Mg 4.724 0.913 0.000
Mg 4.727 0.911 4.981
Mg 3.152 3.635 0.000
Mg 3.152 3.638 4.981
Cd 0.000 3.640 4.981
Mo 0.000 3.640 0.000
```

***

Run ii
## Mg14CdMo (PBE)

Data for a relaxed structure of Mg14CdMo.

Geometry as extended XYZ:
```
16
Lattice="9.943 0.000 0.000 0.000 3.159 5.446 0.000 -3.159 5.446" Properties=species:S:1:pos:R:3 pbc="T T T"
Mg 0.000 0.000 0.000
Mg 0.000 -1.570 2.729
Mg 0.000 1.570 2.729
Mg 0.000 0.000 5.436
Mg 2.493 0.000 7.260
Mg 2.557 0.000 1.757
Mg 2.583 -1.629 4.572
Mg 2.583 1.629 4.572
Mg 4.972 -1.568 2.719
Mg 4.972 1.568 2.719
Mg 7.360 -1.629 4.572
Mg 7.360 1.629 4.572
Mg 7.386 0.000 1.757
Mg 7.450 0.000 7.260
Cd 4.972 0.000 5.451
Mo 4.972 0.000 0.009
```

***

It is run ii that is the least stable of them.

***

Run i
## TiCrAgS4 (PBE)

Data for a relaxed structure of TiCrAgS4.

Geometry as extended XYZ:
```
28
Lattice="6.938 0.000 0.000 0.000 13.353 0.000 0.000 0.000 5.940" Properties=species:S:1:pos:R:3 pbc="T T T"
Ti 0.000 0.000 0.000
Ti 0.000 6.677 0.000
Ti 3.469 0.000 0.000
Ti 3.469 6.677 0.000
Cr 1.734 0.021 2.968
Cr 1.734 6.655 2.968
Cr 5.203 6.698 2.972
Cr 5.203 13.332 2.972
Ag 1.734 3.338 0.956
Ag 1.734 10.015 2.838
Ag 5.203 3.338 3.102
Ag 5.203 10.015 4.984
S 0.013 1.393 2.007
S 0.013 5.284 2.007
S 1.734 1.391 4.945
S 1.734 5.286 4.945
S 1.734 8.063 1.001
S 1.734 11.966 1.001
S 3.456 1.393 2.007
S 3.456 5.284 2.007
S 3.482 8.069 3.933
S 3.482 11.961 3.933
S 5.203 1.387 4.939
S 5.203 5.290 4.939
S 5.203 8.067 0.995
S 5.203 11.963 0.995
S 6.925 8.069 3.933
S 6.925 11.961 3.933
```

***

Run ii
## TiCrAgS4 (PBE)

Data for a relaxed structure of TiCrAgS4.

Geometry as extended XYZ:
```
28
Lattice="11.913 0.000 0.000 0.000 7.150 0.000 0.000 0.000 6.138" Properties=species:S:1:pos:R:3 pbc="T T T"
Ti 2.945 1.788 0.233
Ti 3.012 5.363 3.301
Ti 8.901 1.788 2.836
Ti 8.968 5.363 5.905
Cr 0.000 0.000 3.069
Cr 0.000 3.575 3.069
Cr 5.957 0.000 0.000
Cr 5.957 3.575 0.000
Ag 1.203 5.363 5.680
Ag 4.754 1.788 2.611
Ag 7.159 5.363 3.527
Ag 10.710 1.788 0.458
S 0.995 5.363 1.929
S 1.054 1.788 1.690
S 2.070 0.137 4.385
S 2.070 3.438 4.385
S 3.887 3.712 1.316
S 3.887 7.013 1.316
S 4.903 5.363 4.759
S 4.961 1.788 4.998
S 6.952 5.363 1.140
S 7.011 1.788 1.379
S 8.027 0.137 4.822
S 8.027 3.438 4.822
S 9.843 3.712 1.753
S 9.843 7.013 1.753
S 10.859 5.363 4.447
S 10.918 1.788 4.208
```

***

It is run ii that is the least stable of them.

***

Run i
## Na2ZnSi2O6 (PBE)

Data for a relaxed structure of Na2ZnSi2O6.

Geometry as extended XYZ:
```
22
Lattice="5.220 0.000 0.000 -0.236 5.215 0.000 -2.492 -2.608 10.829" Properties=species:S:1:pos:R:3 pbc="T T T"
Na 0.000 0.000 0.000
Na -0.116 2.607 2.040
Na 0.079 0.168 7.418
Na 2.738 0.144 5.357
Zn 0.170 -0.007 3.678
Zn 2.755 -0.081 9.134
Si 0.330 2.600 5.547
Si 2.644 2.242 0.120
Si 2.701 -0.315 1.884
Si 2.949 2.634 7.281
O -2.186 1.899 8.716
O -0.975 2.098 6.308
O 0.964 2.103 0.018
O 0.498 1.884 4.113
O 1.145 -0.439 2.026
O 0.648 -0.971 5.367
O 0.881 -0.456 9.493
O 1.548 2.093 6.495
O 3.064 3.658 0.960
O 3.202 0.997 1.101
O 3.459 -0.422 3.291
O 3.222 -0.970 7.394
```

***

Run ii
## Na2ZnSi2O6 (PBE)

Data for a relaxed structure of Na2ZnSi2O6.

Properties
The piezoelectric modulus e_max is 1.21 C/m².

Geometry as extended XYZ:
```
22
Lattice="0.000 10.829 3.774 3.607 0.000 3.774 3.607 10.829 0.000" Properties=species:S:1:pos:R:3 pbc="T T T"
Na 1.922 1.681 1.887
Na 3.726 3.734 3.774
Na 1.685 9.148 1.887
Na 3.488 17.925 3.774
Zn 3.607 10.829 0.164
Zn 1.803 5.415 2.051
Si 5.148 19.855 6.012
Si 3.344 7.218 4.125
Si 5.673 12.632 6.012
Si 3.870 14.441 4.125
O 3.949 9.137 1.148
O 5.635 10.441 2.841
O 4.685 8.023 3.507
O 3.264 12.522 1.148
O 3.832 5.803 4.728
O 5.068 14.551 3.035
O 2.146 7.107 3.035
O 1.579 11.218 2.841
O 2.881 8.221 5.394
O 4.332 13.438 5.394
O 2.529 13.635 3.507
O 3.382 15.855 4.728
```

***

It is run i that is the least stable of them.

***

Run i
## Hg (PBE)

Data for a relaxed structure of Hg.

Geometry as extended XYZ:
```
2
Lattice="4.139 0.000 0.000 0.000 4.139 0.000 0.000 0.000 3.605" Properties=species:S:1:pos:R:3 pbc="T T T"
Hg 0.000 0.000 0.000
Hg 2.070 2.070 1.802
```

***

Run ii
## Hg (PBE)

Data for a relaxed structure of Hg.

Geometry as extended XYZ:
```
6
Lattice="6.243 0.000 0.000 0.000 3.609 0.000 -2.087 0.000 8.444" Properties=species:S:1:pos:R:3 pbc="T T T"
Hg 0.000 0.000 0.000
Hg 0.004 0.000 5.604
Hg 1.031 1.805 2.840
Hg 3.122 1.805 0.000
Hg 3.125 1.805 5.604
Hg 4.152 0.000 2.840
```

***

It is run i that is the least stable of them.

***

Run i
## K2LiH2Se2O6 (PBE)

Data for a relaxed structure of K2LiH2Se2O6.

Geometry as extended XYZ:
```
13
Lattice="5.877 0.000 0.000 -1.069 6.255 0.000 -1.643 -3.418 6.093" Properties=species:S:1:pos:R:3 pbc="T T T"
K 0.000 0.000 0.000
K 0.533 3.714 2.621
Li 1.945 0.819 2.195
H 2.965 -0.198 0.480
H 3.829 2.580 2.038
Se 1.276 -0.579 5.989
Se 4.474 0.213 3.569
O 0.076 0.605 2.813
O 1.626 2.157 0.754
O 1.475 5.570 1.212
O 2.026 -1.894 5.222
O 3.431 1.595 3.401
O 4.084 3.199 1.283
```

***

Run ii
## K2LiH2Se2O6 (PBE)

Data for a relaxed structure of K2LiH2Se2O6.

Geometry as extended XYZ:
```
13
Lattice="5.347 0.000 0.000 -1.315 5.931 0.000 -2.364 -2.472 7.417" Properties=species:S:1:pos:R:3 pbc="T T T"
K 0.000 0.000 0.000
K -1.364 3.013 4.948
Li 1.152 2.361 3.429
H -0.749 0.012 5.460
H 1.468 0.968 5.415
Se 1.978 3.090 0.376
Se 3.055 -0.201 3.044
O -0.960 0.521 3.861
O -0.672 -0.499 6.335
O 1.055 4.459 0.048
O 1.125 2.136 1.489
O 1.392 4.276 3.867
O 1.402 1.920 5.238
```

***

It is run ii that is the least stable of them.

***

Run i
## Ba (PBE)

Data for a relaxed structure of Ba.

Geometry as extended XYZ:
```
1
Lattice="3.954 0.000 0.000 0.000 3.954 0.000 0.000 0.000 3.954" Properties=species:S:1:pos:R:3 pbc="T T T"
Ba 0.000 0.000 0.000
```

***

Run ii
## Ba (PBE)

Data for a relaxed structure of Ba.

Geometry as extended XYZ:
```
8
Lattice="7.123 0.000 0.000 0.000 9.282 0.000 0.000 0.000 6.579" Properties=species:S:1:pos:R:3 pbc="T T T"
Ba 0.000 0.125 1.645
Ba 0.000 3.303 4.934
Ba 0.000 5.979 1.645
Ba 0.000 9.158 4.934
Ba 3.562 1.338 1.645
Ba 3.562 4.516 4.934
Ba 3.562 4.766 1.645
Ba 3.562 7.944 4.934
```

***

It is run ii that is the least stable of them.

***

Run i
## Li2CuP4O12 (PBE)

Data for a relaxed structure of Li2CuP4O12.

Geometry as extended XYZ:
```
76
Lattice="9.434 0.000 0.000 0.000 9.431 0.000 0.000 0.000 10.134" Properties=species:S:1:pos:R:3 pbc="T T T"
Li 0.084 0.903 1.818
Li 0.084 3.812 1.818
Li 4.633 5.619 6.885
Li 4.633 8.528 6.885
Li 4.801 0.903 3.249
Li 4.801 3.812 3.249
Li 9.350 5.619 8.316
Li 9.350 8.528 8.316
Cu 0.022 7.073 2.092
Cu 4.695 2.358 7.159
Cu 4.740 7.073 2.974
Cu 9.412 2.358 8.041
P 1.870 7.073 6.189
P 2.009 5.040 4.007
P 2.009 9.107 4.007
P 2.108 2.358 5.412
P 2.609 7.073 0.345
P 2.708 0.324 9.074
P 2.708 4.392 9.074
P 2.847 2.358 1.122
P 6.587 7.073 9.011
P 6.726 5.040 1.060
P 6.726 9.107 1.060
P 6.825 2.358 9.789
P 7.326 7.073 4.722
P 7.425 0.324 6.127
P 7.425 4.392 6.127
P 7.564 2.358 3.945
O 0.961 7.073 7.377
O 1.099 7.073 0.502
O 1.113 5.304 2.820
O 1.113 8.843 2.820
O 1.222 0.513 8.955
O 1.222 4.202 8.955
O 1.278 2.358 6.647
O 1.364 2.358 1.310
O 1.414 5.821 5.280
O 1.414 8.326 5.280
O 1.661 1.179 4.435
O 1.661 3.536 4.435
O 3.056 5.895 9.502
O 3.056 8.252 9.502
O 3.303 1.105 0.213
O 3.303 3.610 0.213
O 3.353 7.073 6.376
O 3.439 7.073 1.580
O 3.495 5.229 3.889
O 3.495 8.918 3.889
O 3.604 0.588 7.886
O 3.604 4.127 7.886
O 3.618 2.358 5.569
O 3.756 2.358 2.310
O 5.678 7.073 7.823
O 5.816 7.073 4.565
O 5.830 5.304 2.247
O 5.830 8.843 2.247
O 5.939 0.513 6.245
O 5.939 4.202 6.245
O 5.996 2.358 8.554
O 6.081 2.358 3.757
O 6.131 5.821 9.921
O 6.131 8.326 9.921
O 6.378 1.179 0.632
O 6.378 3.536 0.632
O 7.773 5.895 5.699
O 7.773 8.252 5.699
O 8.020 1.105 4.854
O 8.020 3.610 4.854
O 8.070 7.073 8.824
O 8.156 7.073 3.487
O 8.212 5.229 1.178
O 8.212 8.918 1.178
O 8.321 0.588 7.314
O 8.321 4.127 7.314
O 8.335 2.358 9.632
O 8.473 2.358 2.757
```

***

Run ii
## Li2CuP4O12 (PBE)

Data for a relaxed structure of Li2CuP4O12.

Geometry as extended XYZ:
```
76
Lattice="7.716 0.000 0.000 0.000 12.766 0.000 -5.219 0.000 10.232" Properties=species:S:1:pos:R:3 pbc="T T T"
Li -1.938 2.690 3.904
Li -4.548 3.693 9.020
Li 0.326 0.803 6.082
Li 2.936 5.581 0.966
Li -0.439 7.186 9.265
Li 2.171 11.964 4.149
Li 7.045 9.073 1.212
Li 4.435 10.077 6.328
Cu -0.740 8.251 5.241
Cu 1.870 10.898 0.125
Cu 0.628 1.868 10.107
Cu 3.237 4.515 4.991
P -4.006 0.777 8.913
P -1.396 5.606 3.797
P -2.706 2.099 6.690
P -0.096 4.284 1.575
P 1.399 2.394 3.270
P -1.210 3.989 8.386
P 2.912 1.063 1.111
P 0.303 5.320 6.227
P 2.194 7.446 4.005
P -0.415 11.703 9.121
P 3.707 8.777 1.846
P 1.098 10.373 6.961
P 2.593 8.482 8.657
P 5.203 10.667 3.541
P 3.893 7.160 6.435
P 6.503 11.989 1.319
O -1.757 7.037 4.091
O -4.367 12.113 9.207
O -2.752 8.222 6.436
O -0.143 10.928 1.320
O -3.272 0.797 7.469
O -0.663 5.586 2.353
O -4.065 9.036 9.558
O -1.455 10.114 4.443
O -2.569 3.177 7.957
O 0.041 3.206 2.841
O -1.412 1.723 6.023
O 1.198 4.660 0.907
O -2.779 1.263 9.821
O -0.169 5.120 4.705
O 1.776 1.966 1.789
O -0.833 4.417 6.905
O 0.862 8.124 3.866
O -1.747 11.026 8.982
O 1.026 1.214 4.133
O -1.583 5.169 9.249
O 0.027 9.430 6.524
O 2.636 9.719 1.408
O 0.083 6.737 6.663
O 2.692 12.413 1.547
O -0.195 0.354 8.685
O 2.415 6.030 3.569
O -0.139 3.047 8.824
O 2.470 3.336 3.708
O 4.080 7.597 0.982
O 1.471 11.552 6.098
O 4.244 1.741 1.250
O 1.635 4.643 6.366
O 3.330 8.349 3.327
O 0.721 10.800 8.443
O 2.666 7.646 5.527
O 5.276 11.503 0.411
O 1.299 8.106 9.325
O 3.909 11.043 4.209
O 2.457 9.560 7.391
O 5.066 9.589 2.275
O 3.952 2.653 5.789
O 6.562 3.731 0.673
O 3.160 7.181 7.878
O 5.769 11.969 2.763
O 2.640 1.839 8.912
O 5.249 4.545 3.796
O 6.864 0.654 1.025
O 4.254 5.729 6.141
```

***

It is run ii that is the least stable of them.